Density functional theory data (meta-GGA r2SCAN) for a relaxed Rb2PbO3 crystal.

Computed properties:
Formation energy (eV/atom): -1.35
Size of the total moment (μB/cell): 0.000

Structure (POSCAR):
```
Rb2PbO3
1.0
5.4687 -3.7074 0.0000
5.4687 3.7074 0.0000
0.0000 0.0000 6.0517
Rb Pb O
4 2 6
Cartesian
1.7751 1.0683 0.0000
1.7751 -1.0683 3.0258
9.1622 1.0683 0.0000
9.1622 -1.0683 3.0258
5.4687 0.6960 5.8960
5.4687 -0.6960 2.8702
5.4687 2.6880 5.4694
4.0485 0.1490 1.4146
4.0485 -0.1490 4.4404
6.8888 0.1490 1.4146
6.8888 -0.1490 4.4404
5.4687 -2.6880 2.4435
```


Density functional theory data (meta-GGA r2SCAN) for a relaxed MgAl2S4 crystal.

Computed properties:
Formation energy (eV/atom): -1.37
Size of the total moment (μB/cell): 0.000

Structure (POSCAR):
```
MgAl2S4
1.0
0.0000 5.0884 5.0884
5.0884 0.0000 5.0884
5.0884 5.0884 0.0000
Mg Al S
2 4 8
Cartesian
1.2721 1.2721 1.2721
8.9046 8.9046 8.9046
5.0884 2.5442 2.5442
2.5442 5.0884 2.5442
2.5442 2.5442 5.0884
5.0884 5.0884 5.0884
2.6658 2.6658 2.6658
4.9668 4.9668 2.6658
4.9668 2.6658 4.9668
7.5110 5.2099 5.2099
2.6658 4.9668 4.9668
5.2099 7.5110 5.2099
5.2099 5.2099 7.5110
7.5110 7.5110 7.5110
```


Density functional theory data (meta-GGA r2SCAN) for a relaxed TmSbPt crystal.

Computed properties:
Formation energy (eV/atom): -1.38
Size of the total moment (μB/cell): 0.000

Structure (POSCAR):
```
TmSbPt
1.0
0.0000 3.2578 3.2578
3.2578 0.0000 3.2578
3.2578 3.2578 0.0000
Tm Sb Pt
1 1 1
Cartesian
0.0000 0.0000 0.0000
3.2578 3.2578 3.2578
4.8867 4.8867 4.8867
```


Density functional theory data (meta-GGA r2SCAN) for a relaxed As crystal.

Computed properties:
Formation energy (eV/atom): 0.01
Size of the total moment (μB/cell): 0.000

Structure (POSCAR):
```
As
1.0
1.8774 1.0839 3.7043
-1.8774 1.0839 3.7043
0.0000 -2.1678 3.7043
As
2
Cartesian
0.0000 0.0000 2.4941
0.0000 0.0000 8.6189
```


Density functional theory data (meta-GGA r2SCAN) for a relaxed SiO2 crystal.

Computed properties:
Formation energy (eV/atom): -3.02
Size of the total moment (μB/cell): 0.000

Structure (POSCAR):
```
SiO2
1.0
19.8170 0.0000 0.0000
0.0000 7.6029 0.0000
0.0000 0.0000 9.0631
Si O
24 48
Cartesian
1.0829 1.5401 1.9098
1.0829 6.0628 1.9098
1.4917 3.8014 3.9414
1.9152 1.5404 7.9919
1.9152 6.0625 7.9919
3.3917 3.8014 6.4936
6.5168 3.8014 6.4936
7.9933 1.5404 7.9919
7.9933 6.0625 7.9919
8.4168 3.8014 3.9414
8.8255 1.5401 1.9098
8.8255 6.0628 1.9098
10.9914 1.5401 7.1533
10.9914 6.0628 7.1533
11.4001 3.8014 5.1216
11.8237 1.5404 1.0712
11.8237 6.0625 1.0712
13.3002 3.8014 2.5695
16.4253 3.8014 2.5695
17.9018 1.5404 1.0712
17.9018 6.0625 1.0712
18.3253 3.8014 5.1216
18.7340 1.5401 7.1533
18.7340 6.0628 7.1533
0.0000 3.8014 4.5315
0.4696 1.9416 7.3806
0.4696 5.6613 7.3806
1.1842 0.0000 2.3817
1.7135 2.4780 3.0452
1.7135 5.1249 3.0452
1.8963 1.7433 0.5307
1.8963 5.8596 0.5307
2.2443 0.0000 7.6438
2.5710 3.8014 5.1174
3.0396 2.4804 7.3502
3.0396 5.1225 7.3502
4.9542 3.8014 6.1566
6.8688 2.4804 7.3502
6.8688 5.1225 7.3502
7.3375 3.8014 5.1174
7.6642 0.0000 7.6438
8.0122 1.7433 0.5307
8.0122 5.8596 0.5307
8.1949 2.4780 3.0452
8.1949 5.1249 3.0452
8.7243 0.0000 2.3817
9.4389 1.9416 7.3806
9.4389 5.6613 7.3806
9.9085 3.8014 4.5315
10.3781 1.9416 1.6825
10.3781 5.6613 1.6825
11.0927 0.0000 6.6814
11.6220 2.4780 6.0179
11.6220 5.1249 6.0179
11.8048 1.7433 8.5323
11.8048 5.8596 8.5323
12.1527 0.0000 1.4193
12.4794 3.8014 3.9457
12.9481 2.4804 1.7129
12.9481 5.1225 1.7129
14.8627 3.8014 2.9065
16.7773 2.4804 1.7129
16.7773 5.1225 1.7129
17.2460 3.8014 3.9457
17.5727 0.0000 1.4193
17.9206 1.7433 8.5323
17.9206 5.8596 8.5323
18.1034 2.4780 6.0179
18.1034 5.1249 6.0179
18.6328 0.0000 6.6814
19.3474 1.9416 1.6825
19.3474 5.6613 1.6825
```


Density functional theory data (meta-GGA r2SCAN) for a relaxed CaCd2Sb2 crystal.

Computed properties:
Formation energy (eV/atom): -0.58
Size of the total moment (μB/cell): 0.000

Structure (POSCAR):
```
CaCd2Sb2
1.0
4.6926 0.0000 0.0000
-2.3463 4.0639 0.0000
0.0000 0.0000 7.6243
Ca Cd Sb
1 2 2
Cartesian
0.0000 0.0000 0.0000
0.0000 2.7093 4.8041
2.3463 1.3546 2.8202
0.0000 2.7093 1.8177
2.3463 1.3546 5.8066
```


Density functional theory data (meta-GGA r2SCAN) for a relaxed CeGe2Ir2 crystal.

Computed properties:
Formation energy (eV/atom): -0.89
Size of the total moment (μB/cell): 1.752

Structure (POSCAR):
```
CeGe2Ir2
1.0
4.2603 0.0000 0.0000
0.0000 4.2603 0.0000
0.0000 0.0000 10.0715
Ce Ge Ir
2 4 4
Cartesian
1.0651 1.0651 2.4632
3.1952 3.1952 7.6083
1.0651 1.0651 6.3544
1.0651 3.1952 0.0000
3.1952 1.0651 0.0000
3.1952 3.1952 3.7170
1.0651 1.0651 8.7879
1.0651 3.1952 5.0357
3.1952 1.0651 5.0357
3.1952 3.1952 1.2836
```


Density functional theory data (meta-GGA r2SCAN) for a relaxed LuB4Rh crystal.

Computed properties:
Formation energy (eV/atom): -0.69
Size of the total moment (μB/cell): 0.000

Structure (POSCAR):
```
LuB4Rh
1.0
5.8965 0.0000 0.0000
0.0000 11.4308 0.0000
0.0000 0.0000 3.5049
Lu B Rh
4 16 4
Cartesian
0.7768 1.6995 0.0000
2.1715 7.4149 0.0000
3.7250 4.0159 0.0000
5.1197 9.7313 0.0000
0.1302 7.9272 1.7525
0.6675 6.2600 1.7525
0.7962 11.0848 1.7525
1.2217 9.2907 1.7525
1.7265 3.5753 1.7525
2.1521 5.3694 1.7525
2.2808 0.5446 1.7525
2.8181 2.2118 1.7525
3.0784 9.2190 1.7525
3.6157 10.8862 1.7525
3.7444 6.0614 1.7525
4.1700 7.8556 1.7525
4.6748 2.1402 1.7525
5.1003 0.3460 1.7525
5.2290 5.1708 1.7525
5.7663 3.5036 1.7525
0.8428 4.6267 0.0000
2.1055 10.3421 0.0000
3.7910 1.0887 0.0000
5.0537 6.8041 0.0000
```


Density functional theory data (meta-GGA r2SCAN) for a relaxed HoCu2O4 crystal.

Computed properties:
Formation energy (eV/atom): -1.95
Size of the total moment (μB/cell): 1.999

Structure (POSCAR):
```
HoCu2O4
1.0
-2.8038 2.8038 4.7659
2.8038 -2.8038 4.7659
2.8038 2.8038 -4.7659
Ho Cu O
2 4 8
Cartesian
0.0000 1.4019 1.1915
2.8038 1.4019 3.5744
1.4019 1.4019 -2.3829
1.4019 -1.4019 2.3829
2.8038 0.0000 0.0000
0.0000 0.0000 4.7659
1.1624 0.5818 -0.6940
1.9837 0.2395 1.6889
1.6414 -0.5818 4.0719
1.9837 3.0433 -1.6889
0.8201 -0.2395 6.4548
1.1624 3.3856 0.6940
0.8201 2.5643 3.0769
1.6414 2.2220 5.4598
```


Density functional theory data (meta-GGA r2SCAN) for a relaxed Ni4W crystal.

Computed properties:
Formation energy (eV/atom): -0.05
Size of the total moment (μB/cell): 0.000

Structure (POSCAR):
```
Ni4W
1.0
-2.8425 2.8425 1.7586
2.8425 -2.8425 1.7586
2.8425 2.8425 -1.7586
Ni W
4 1
Cartesian
1.7116 0.5656 0.0000
2.2769 -1.1309 1.7586
0.5656 3.9734 0.0000
1.1309 2.2769 1.7586
0.0000 0.0000 1.7586
```


Density functional theory data (meta-GGA r2SCAN) for a relaxed NdCo12B6 crystal.

Computed properties:
Formation energy (eV/atom): -0.25
Size of the total moment (μB/cell): 9.260

Structure (POSCAR):
```
NdCo12B6
1.0
4.6936 2.7098 2.4612
-4.6936 2.7098 2.4612
0.0000 -5.4197 2.4612
Nd Co B
1 12 6
Cartesian
0.0000 0.0000 0.0000
-1.7202 -2.9794 3.6917
-3.4403 0.0000 3.6917
-1.2871 -0.7431 2.7251
1.2871 -0.7431 2.7251
0.0000 1.4862 2.7251
1.7202 -2.9794 3.6917
-1.7202 2.9794 3.6917
0.0000 -1.4862 4.6584
-1.2871 0.7431 4.6584
1.2871 0.7431 4.6584
3.4403 0.0000 3.6917
1.7202 2.9794 3.6917
0.0000 -2.4045 2.7885
-2.0824 1.2022 2.7885
-2.0824 -1.2023 4.5950
2.0824 1.2023 2.7885
2.0824 -1.2023 4.5950
0.0000 2.4045 4.5950
```


Density functional theory data (meta-GGA r2SCAN) for a relaxed LaRh3 crystal.

Computed properties:
Formation energy (eV/atom): -0.56
Size of the total moment (μB/cell): 0.000

Structure (POSCAR):
```
LaRh3
1.0
5.3213 0.0000 0.0000
-2.6607 4.6084 0.0000
0.0000 0.0000 17.7156
La Rh
6 18
Cartesian
0.0000 3.0723 0.7587
0.0000 3.0723 4.4289
0.0000 3.0723 8.0991
2.6607 1.5361 9.6165
2.6607 1.5361 13.2867
2.6607 1.5361 16.9569
0.0000 0.0000 0.0000
0.0000 0.0000 4.4289
0.0000 0.0000 8.8578
0.0000 0.0000 13.2867
0.0000 1.5351 11.1349
0.0000 1.5351 15.4385
-1.3312 3.8408 11.1349
-1.3312 3.8408 15.4385
1.3295 0.7676 2.2771
1.3295 0.7676 6.5807
0.0000 3.0723 13.2867
2.6607 1.5361 4.4289
1.3312 3.8408 11.1349
1.3312 3.8408 15.4385
3.9918 0.7676 2.2771
3.9918 0.7676 6.5807
2.6607 3.0732 2.2771
2.6607 3.0732 6.5807
```


Density functional theory data (meta-GGA r2SCAN) for a relaxed RbCeSe2 crystal.

Computed properties:
Formation energy (eV/atom): -2.04
Size of the total moment (μB/cell): 1.000

Structure (POSCAR):
```
RbCeSe2
1.0
2.2114 1.2767 7.9288
-2.2114 1.2767 7.9288
0.0000 -2.5534 7.9288
Rb Ce Se
1 1 2
Cartesian
0.0000 0.0000 0.0000
0.0000 0.0000 11.8932
0.0000 0.0000 5.5573
0.0000 0.0000 18.2290
```


Density functional theory data (meta-GGA r2SCAN) for a relaxed GdSnPt crystal.

Computed properties:
Formation energy (eV/atom): -1.15
Size of the total moment (μB/cell): 21.499

Structure (POSCAR):
```
GdSnPt
1.0
7.5100 0.0000 0.0000
-3.7550 6.5039 0.0000
0.0000 0.0000 4.0615
Gd Sn Pt
3 3 3
Cartesian
-2.2237 3.8515 0.0000
1.5314 2.6524 0.0000
4.4473 0.0000 0.0000
-0.9632 1.6682 2.0308
1.9263 0.0000 2.0308
2.7918 4.8356 2.0308
0.0000 0.0000 0.0000
0.0000 4.3359 2.0308
3.7550 2.1680 2.0308
```


Density functional theory data (meta-GGA r2SCAN) for a relaxed SrGaSn crystal.

Computed properties:
Formation energy (eV/atom): -0.62
Size of the total moment (μB/cell): 0.000

Structure (POSCAR):
```
SrGaSn
1.0
4.5655 0.0000 0.0000
-2.2828 3.9538 0.0000
0.0000 0.0000 18.9603
Sr Ga Sn
4 4 4
Cartesian
0.0000 0.0000 0.0000
0.0000 0.0000 4.7401
0.0000 0.0000 9.4802
0.0000 0.0000 14.2202
0.0000 2.6359 3.0535
0.0000 2.6359 6.4267
2.2828 1.3179 12.5336
2.2828 1.3179 15.9069
0.0000 2.6359 11.6880
0.0000 2.6359 16.7525
2.2828 1.3179 2.2079
2.2828 1.3179 7.2723
```


Density functional theory data (meta-GGA r2SCAN) for a relaxed LaSF crystal.

Computed properties:
Formation energy (eV/atom): -3.45
Size of the total moment (μB/cell): 0.000

Structure (POSCAR):
```
LaSF
1.0
4.0487 0.0000 0.0000
0.0000 4.0487 0.0000
0.0000 0.0000 6.9628
La S F
2 2 2
Cartesian
1.0122 1.0122 1.6016
3.0365 3.0365 5.3612
1.0122 1.0122 4.5347
3.0365 3.0365 2.4281
1.0122 3.0365 0.0000
3.0365 1.0122 0.0000
```


Density functional theory data (meta-GGA r2SCAN) for a relaxed YSbO4 crystal.

Computed properties:
Formation energy (eV/atom): -2.67
Size of the total moment (μB/cell): 0.000

Structure (POSCAR):
```
YSbO4
1.0
5.3517 0.0000 0.0000
0.0386 7.4775 0.0000
0.2512 1.1790 7.4893
Y Sb O
4 4 16
Cartesian
1.2462 3.3405 2.5663
1.5419 7.0752 2.7406
4.0995 1.5812 4.7487
4.3952 5.3160 4.9230
1.4982 3.2633 6.2631
1.7169 7.0218 6.2644
3.9246 1.6347 1.2249
4.1433 5.3932 1.2262
0.2526 7.3757 5.0150
0.3784 3.1660 4.6078
0.5141 6.1220 0.4817
0.9323 5.1725 6.2305
2.2826 1.4228 6.2042
2.1818 2.3550 0.5019
2.6204 5.0270 2.3592
2.8161 6.8849 4.5906
2.8254 1.7716 2.8987
3.0211 3.6295 5.1300
3.4597 6.3015 6.9873
3.3589 7.2337 1.2851
4.7092 3.4840 1.2588
5.1274 2.5345 7.0076
5.2631 5.4905 2.8815
5.3889 1.2808 2.4743
```


Density functional theory data (meta-GGA r2SCAN) for a relaxed AgAu crystal.

Computed properties:
Formation energy (eV/atom): -0.06
Size of the total moment (μB/cell): 0.000

Structure (POSCAR):
```
AgAu
1.0
1.4576 0.8415 4.7306
-1.4576 0.8415 4.7306
0.0000 -1.6831 4.7306
Ag Au
1 1
Cartesian
0.0000 0.0000 0.0000
0.0000 0.0000 7.0960
```


no.,E_tot (eV per atom)
1,-18.365
2,-8.477
3,-38.817
4,-14.697
5,-9.923
6,-20.312
7,-33.549
8,-15.959
9,-13.157
10,-19.912
11,-12.479
12,-26.101
13,-20.389
14,-41.023
15,-17.734
16,-17.088
17,-14.324
18,-36.033